i:
Material: Li4Co5O12
Method: DFT, GGA+U
State: optimized geometry

Cell and atoms, written as POSCAR:
```
Li4Co5O12
1.0
4.883 0.000 0.000
-2.438 4.247 0.000
-0.798 -1.439 9.774
Li Co O
4 5 12
Direct
0.000 0.000 0.000
0.092 0.415 0.239
0.490 0.490 0.479
0.837 0.159 0.480
0.251 0.240 0.741
0.426 0.068 0.239
0.582 0.907 0.741
0.758 0.726 0.242
0.919 0.573 0.742
0.049 0.732 0.137
0.132 0.080 0.346
0.216 0.534 0.638
0.278 0.936 0.839
0.416 0.352 0.137
0.489 0.790 0.350
0.559 0.212 0.639
0.623 0.614 0.838
0.691 0.998 0.141
0.758 0.431 0.350
0.876 0.870 0.640
0.946 0.267 0.839
```

SG: P1


ii:
Material: Li4Co5O12
Method: DFT, GGA+U
State: optimized geometry

Cell and atoms, written as POSCAR:
```
Li4Co5O12
1.0
4.913 0.000 0.000
0.000 8.426 0.000
-1.639 0.000 9.831
Li Co O
8 10 24
Direct
0.005 0.000 0.234
0.012 0.148 0.765
0.259 0.000 0.001
0.493 0.175 0.236
0.507 0.675 0.764
0.741 0.500 0.999
0.988 0.648 0.235
0.995 0.500 0.766
0.245 0.677 0.003
0.248 0.169 0.503
0.251 0.500 0.499
0.252 0.835 0.502
0.254 0.338 0.001
0.746 0.838 0.999
0.748 0.335 0.498
0.749 0.000 0.501
0.752 0.669 0.497
0.755 0.177 0.997
0.098 0.824 0.111
0.109 0.189 0.107
0.110 0.004 0.600
0.110 0.335 0.600
0.120 0.663 0.600
0.150 0.513 0.101
0.353 0.511 0.894
0.378 0.008 0.400
0.382 0.333 0.403
0.384 0.667 0.402
0.388 0.192 0.898
0.388 0.820 0.897
0.612 0.320 0.103
0.612 0.692 0.102
0.616 0.167 0.598
0.618 0.833 0.597
0.622 0.508 0.600
0.647 0.011 0.106
0.850 0.013 0.899
0.880 0.163 0.400
0.890 0.504 0.400
0.890 0.835 0.400
0.891 0.689 0.893
0.902 0.324 0.889
```

SG: P2_1


Least stable = i


i:
Material: Li4Co13O28
Method: DFT, GGA+U
State: optimized geometry

Cell and atoms, written as POSCAR:
```
Li4Co13O28
1.0
7.478 0.000 0.000
-2.095 7.845 0.000
-2.126 -2.148 8.060
Li Co O
4 13 28
Direct
0.000 0.000 0.000
0.138 0.404 0.559
0.298 0.851 0.154
0.509 0.478 0.490
0.002 0.483 0.985
0.076 0.705 0.775
0.153 0.926 0.558
0.293 0.347 0.141
0.364 0.563 0.921
0.441 0.792 0.717
0.507 0.001 0.495
0.574 0.206 0.281
0.652 0.424 0.069
0.721 0.634 0.850
0.791 0.848 0.632
0.863 0.052 0.407
0.941 0.280 0.211
0.022 0.264 0.018
0.057 0.923 0.753
0.095 0.483 0.797
0.114 0.133 0.545
0.172 0.698 0.596
0.201 0.375 0.322
0.247 0.901 0.386
0.271 0.570 0.106
0.320 0.132 0.148
0.344 0.786 0.901
0.384 0.346 0.953
0.420 0.006 0.685
0.448 0.559 0.728
0.518 0.221 0.474
0.521 0.771 0.526
0.562 0.432 0.261
0.584 0.979 0.300
0.630 0.642 0.038
0.672 0.207 0.098
0.713 0.863 0.825
0.737 0.412 0.880
0.777 0.067 0.600
0.805 0.627 0.656
0.853 0.281 0.400
0.881 0.839 0.441
0.922 0.051 0.219
0.924 0.500 0.177
0.998 0.717 0.966
```

SG: P1


ii:
Material: Li4Co13O28
Method: DFT, GGA+U
State: optimized geometry

Cell and atoms, written as POSCAR:
```
Li4Co13O28
1.0
7.447 0.000 0.000
-2.195 7.928 0.000
-2.137 -2.233 7.935
Li Co O
4 13 28
Direct
0.000 0.000 0.000
0.082 0.238 0.784
0.199 0.652 0.319
0.780 0.370 0.643
0.073 0.714 0.780
0.146 0.937 0.564
0.223 0.159 0.354
0.287 0.367 0.132
0.358 0.582 0.926
0.432 0.800 0.712
0.503 0.007 0.491
0.570 0.211 0.268
0.648 0.430 0.058
0.719 0.646 0.853
0.780 0.853 0.626
0.854 0.068 0.411
0.931 0.293 0.196
0.026 0.258 0.018
0.052 0.940 0.754
0.095 0.502 0.787
0.127 0.157 0.543
0.162 0.718 0.586
0.204 0.377 0.326
0.231 0.931 0.374
0.297 0.140 0.159
0.298 0.585 0.123
0.344 0.803 0.900
0.368 0.357 0.938
0.414 0.016 0.682
0.445 0.580 0.735
0.497 0.230 0.467
0.509 0.783 0.514
0.561 0.432 0.245
0.588 0.994 0.298
0.633 0.653 0.040
0.657 0.208 0.077
0.707 0.427 0.857
0.708 0.871 0.824
0.780 0.084 0.610
0.798 0.632 0.655
0.841 0.290 0.391
0.872 0.851 0.441
0.907 0.501 0.189
0.953 0.071 0.227
0.982 0.748 0.957
```

SG: P1


Least stable = i


i:
Material: Li5CoO4
Method: DFT, GGA+U
State: optimized geometry

Cell and atoms, written as POSCAR:
```
Li5CoO4
1.0
5.083 0.000 0.000
0.000 16.136 0.000
0.000 0.000 9.721
Li Co O
40 8 32
Direct
0.030 0.227 0.044
0.030 0.273 0.544
0.081 0.570 0.440
0.081 0.930 0.940
0.095 0.179 0.314
0.095 0.321 0.814
0.101 0.519 0.196
0.101 0.981 0.696
0.105 0.666 0.691
0.105 0.834 0.191
0.395 0.166 0.691
0.395 0.334 0.191
0.399 0.019 0.196
0.399 0.481 0.696
0.405 0.679 0.314
0.405 0.821 0.814
0.419 0.070 0.440
0.419 0.430 0.940
0.470 0.727 0.044
0.470 0.773 0.544
0.530 0.227 0.456
0.530 0.273 0.956
0.581 0.570 0.060
0.581 0.930 0.560
0.595 0.179 0.186
0.595 0.321 0.686
0.601 0.519 0.304
0.601 0.981 0.804
0.605 0.666 0.809
0.605 0.834 0.309
0.895 0.166 0.809
0.895 0.334 0.309
0.899 0.019 0.304
0.899 0.481 0.804
0.905 0.679 0.186
0.905 0.821 0.686
0.919 0.070 0.060
0.919 0.430 0.560
0.970 0.727 0.456
0.970 0.773 0.956
0.125 0.616 0.953
0.125 0.884 0.453
0.375 0.116 0.953
0.375 0.384 0.453
0.625 0.616 0.547
0.625 0.884 0.047
0.875 0.116 0.547
0.875 0.384 0.047
0.212 0.152 0.522
0.212 0.348 0.022
0.231 0.125 0.139
0.231 0.375 0.639
0.232 0.209 0.854
0.232 0.291 0.354
0.247 0.524 0.866
0.247 0.976 0.366
0.253 0.024 0.866
0.253 0.476 0.366
0.268 0.709 0.854
0.268 0.791 0.354
0.269 0.625 0.139
0.269 0.875 0.639
0.288 0.652 0.522
0.288 0.848 0.022
0.712 0.152 0.978
0.712 0.348 0.478
0.731 0.125 0.361
0.731 0.375 0.861
0.732 0.209 0.646
0.732 0.291 0.146
0.747 0.524 0.634
0.747 0.976 0.134
0.753 0.024 0.634
0.753 0.476 0.134
0.768 0.709 0.646
0.768 0.791 0.146
0.769 0.625 0.361
0.769 0.875 0.861
0.788 0.652 0.978
0.788 0.848 0.478
```

SG: Pbca


ii:
Material: Li5CoO4
Method: DFT, GGA+U
State: optimized geometry

Cell and atoms, written as POSCAR:
```
Li5CoO4
1.0
4.723 0.000 0.000
0.000 4.403 4.721
0.000 -4.403 4.721
Li Co O
10 2 8
Direct
0.000 0.000 0.000
0.026 0.441 0.031
0.059 0.702 0.267
0.441 0.202 0.767
0.474 0.941 0.531
0.500 0.500 0.500
0.526 0.531 0.941
0.559 0.767 0.202
0.941 0.267 0.702
0.974 0.031 0.441
0.000 0.726 0.726
0.500 0.226 0.226
0.160 0.996 0.716
0.224 0.482 0.744
0.276 0.982 0.244
0.340 0.496 0.216
0.660 0.216 0.496
0.724 0.244 0.982
0.776 0.744 0.482
0.840 0.716 0.996
```

SG: Aea2
Piezoelectric modulus e_max in C/m²: 0.18


Least stable = i